# 1
Computed, not measured: a relaxed NaGa3Se5 crystal at the GGA-PBE level of DFT.

a b c (Å): 9.9862 13.9224 27.5689
angles (deg): 90.00 90.00 90.00
Last column: nearest neighbours and their distance in Å.
Sites, in units of the cell vectors:
Ga1 0.3648 0.2213 0.5073  4 Se 2.42-2.52
Ga2 0.3533 0.2427 0.2754  4 Se 2.39-2.51
Ga3 0.1467 0.7573 0.7754  4 Se 2.39-2.51
Ga4 0.4220 0.7152 0.1096  4 Se 2.45-2.53
Ga5 0.8575 0.8076 0.7471  4 Se 2.42-2.52
Ga6 0.8533 0.2573 0.7246  4 Se 2.39-2.51
Ga7 0.9939 0.7330 0.2333  4 Se 2.42-2.48
Ga8 0.1352 0.7787 0.0073  4 Se 2.42-2.52
Ga9 0.5061 0.2670 0.7333  4 Se 2.42-2.48
Ga10 0.9354 0.3554 0.0521  4 Se 2.42-2.52
Ga11 0.0850 0.0507 0.5341  4 Se 2.42-2.50
Ga12 0.8648 0.2787 0.4927  4 Se 2.42-2.52
Ga13 0.3317 0.6806 0.6517  4 Se 2.42-2.50
Ga14 0.1120 0.9721 0.9549  4 Se 2.41-2.50
Ga15 0.8880 0.4721 0.5451  4 Se 2.41-2.50
Ga16 0.9220 0.7848 0.8904  4 Se 2.45-2.53
Ga17 0.1425 0.3076 0.7529  4 Se 2.42-2.52
Ga18 0.6857 0.3530 0.9449  4 Se 2.43-2.52
Ga19 0.8317 0.8194 0.3483  4 Se 2.42-2.50
Ga20 0.0780 0.2848 0.6096  4 Se 2.45-2.53
Ga21 0.1516 0.4713 0.2672  4 Se 2.42-2.51
Ga22 0.0061 0.2330 0.2667  4 Se 2.42-2.48
Ga23 0.9150 0.5507 0.9659  4 Se 2.42-2.50
Ga24 0.6120 0.5279 0.0451  4 Se 2.41-2.50
Ga25 0.6516 0.0287 0.7328  4 Se 2.42-2.51
Ga26 0.6352 0.7213 0.9927  4 Se 2.42-2.52
Ga27 0.4354 0.1446 0.9479  4 Se 2.42-2.52
Ga28 0.3484 0.5287 0.7672  4 Se 2.42-2.51
Ga29 0.3654 0.3391 0.8547  4 Se 2.42-2.50
Ga30 0.1346 0.6609 0.3547  4 Se 2.42-2.50
Ga31 0.1857 0.1470 0.0551  4 Se 2.43-2.52
Ga32 0.8654 0.1609 0.1453  4 Se 2.42-2.50
Ga33 0.4939 0.7670 0.7667  4 Se 2.42-2.48
Ga34 0.6467 0.7427 0.2246  4 Se 2.39-2.51
Ga35 0.1683 0.3194 0.1517  4 Se 2.42-2.50
Ga36 0.5850 0.4493 0.4659  4 Se 2.42-2.50
Ga37 0.3575 0.6924 0.2529  4 Se 2.42-2.52
Ga38 0.6683 0.1806 0.8483  4 Se 2.42-2.50
Ga39 0.8484 0.9713 0.2328  4 Se 2.42-2.51
Ga40 0.8143 0.6470 0.4449  4 Se 2.43-2.52
Ga41 0.3143 0.8530 0.5551  4 Se 2.43-2.52
Ga42 0.5780 0.2152 0.3904  4 Se 2.45-2.53
Ga43 0.6425 0.1924 0.2471  4 Se 2.42-2.52
Ga44 0.6346 0.8391 0.6453  4 Se 2.42-2.50
Ga45 0.3880 0.0279 0.4549  4 Se 2.41-2.50
Ga46 0.4150 0.9493 0.0341  4 Se 2.42-2.50
Ga47 0.0646 0.8554 0.4479  4 Se 2.42-2.52
Ga48 0.5646 0.6446 0.5521  4 Se 2.42-2.52
Se1 0.8280 0.7048 0.1712  2 Ga 2.39-2.42
Se2 0.6872 0.3600 0.0358  3 Ga 2.47-2.52
Se3 0.0647 0.1923 0.6884  3 Ga 2.50-2.53
Se4 0.6840 0.8802 0.2819  3 Ga 2.48-2.51
Se5 0.0614 0.8986 0.7343  2 Ga 2.42
Se6 0.8035 0.7253 0.6713  2 Ga 2.42-2.44
Se7 0.4254 0.3251 0.4355  3 Ga 2.49-2.52
Se8 0.4637 0.5966 0.9847  2 Ga 2.43-2.45
Se9 0.3160 0.2928 0.5852  2 Ga 2.42-2.47
Se10 0.9965 0.9370 0.3741  2 Ga 2.43
Se11 0.1965 0.2253 0.8287  2 Ga 2.42-2.44
Se12 0.7686 0.0018 0.1514  2 Ga 2.42
Se13 0.4371 0.3232 0.9412  3 Ga 2.49-2.52
Se14 0.7314 0.9982 0.6514  2 Ga 2.42
Se15 0.2686 0.4982 0.8486  2 Ga 2.42
Se16 0.8308 0.1139 0.2881  3 Ga 2.45-2.51
Se17 0.8160 0.1198 0.7819  3 Ga 2.48-2.51
Se18 0.1720 0.2048 0.3288  2 Ga 2.39-2.42
Se19 0.9254 0.1749 0.5645  3 Ga 2.49-2.52
Se20 0.5647 0.3077 0.3116  3 Ga 2.50-2.53
Se21 0.6692 0.8861 0.7881  3 Ga 2.45-2.51
Se22 0.9371 0.1768 0.0588  3 Ga 2.49-2.52
Se23 0.1840 0.6198 0.7181  3 Ga 2.48-2.51
Se24 0.1872 0.1400 0.9642  3 Ga 2.47-2.52
Se25 0.0638 0.4180 0.9846  2 Ga 2.42-2.43
Se26 0.6720 0.2952 0.6712  2 Ga 2.39-2.42
Se27 0.4973 0.0506 0.3778  2 Ga 2.41-2.45
Se28 0.0629 0.6768 0.4412  3 Ga 2.49-2.52
Se29 0.4362 0.5820 0.4846  2 Ga 2.42-2.43
Se30 0.9637 0.9034 0.0153  2 Ga 2.43-2.45
Se31 0.1692 0.6139 0.2119  3 Ga 2.45-2.51
Se32 0.9973 0.4494 0.6222  2 Ga 2.41-2.45
Se33 0.2626 0.0033 0.0969  2 Ga 2.42-2.43
Se34 0.2314 0.5018 0.3486  2 Ga 2.42
Se35 0.8144 0.2164 0.9161  2 Ga 2.42-2.43
Se36 0.9173 0.6688 0.3122  3 Ga 2.47
Se37 0.1850 0.1316 0.4632  3 Ga 2.47-2.50
Se38 0.0363 0.4034 0.4847  2 Ga 2.43-2.45
Se39 0.8150 0.6316 0.0368  3 Ga 2.47-2.50
Se40 0.3128 0.8600 0.4642  3 Ga 2.47-2.52
Se41 0.3308 0.3861 0.7119  3 Ga 2.45-2.51
Se42 0.3035 0.7747 0.3287  2 Ga 2.42-2.44
Se43 0.8128 0.6400 0.5358  3 Ga 2.47-2.52
Se44 0.4386 0.1014 0.2343  2 Ga 2.42
Se45 0.7374 0.5033 0.4031  2 Ga 2.42-2.43
Se46 0.5695 0.6015 0.7702  2 Ga 2.43
Se47 0.5827 0.3312 0.8122  3 Ga 2.47
Se48 0.7626 0.4967 0.9031  2 Ga 2.42-2.43
Se49 0.2374 0.9967 0.5969  2 Ga 2.42-2.43
Se50 0.9386 0.3986 0.7657  2 Ga 2.42
Se51 0.6850 0.3684 0.5368  3 Ga 2.47-2.50
Se52 0.0027 0.9494 0.8778  2 Ga 2.41-2.45
Se53 0.0827 0.1688 0.1878  3 Ga 2.47
Se54 0.4305 0.1015 0.7298  2 Ga 2.43
Se55 0.4173 0.8312 0.6878  3 Ga 2.47
Se56 0.9353 0.6923 0.8116  3 Ga 2.50-2.53
Se57 0.6856 0.7836 0.4161  2 Ga 2.42-2.43
Se58 0.3150 0.8684 0.9632  3 Ga 2.47-2.50
Se59 0.5629 0.8232 0.5588  3 Ga 2.49-2.52
Se60 0.4965 0.5630 0.6259  2 Ga 2.43
Se61 0.1840 0.7072 0.0852  2 Ga 2.42-2.47
Se62 0.6840 0.7928 0.9148  2 Ga 2.42-2.47
Se63 0.0695 0.8985 0.2298  2 Ga 2.43
Se64 0.9305 0.3985 0.2702  2 Ga 2.43
Se65 0.3160 0.3802 0.2181  3 Ga 2.48-2.51
Se66 0.4353 0.8077 0.1884  3 Ga 2.50-2.53
Se67 0.6965 0.2747 0.1713  2 Ga 2.42-2.44
Se68 0.0035 0.4370 0.1259  2 Ga 2.43
Se69 0.0746 0.6749 0.9355  3 Ga 2.49-2.52
Se70 0.3144 0.2836 0.0839  2 Ga 2.42-2.43
Se71 0.5027 0.5506 0.1222  2 Ga 2.41-2.45
Se72 0.5035 0.0630 0.8741  2 Ga 2.43
Se73 0.3280 0.7952 0.8288  2 Ga 2.39-2.42
Se74 0.9362 0.9180 0.5154  2 Ga 2.42-2.43
Se75 0.5746 0.8251 0.0645  3 Ga 2.49-2.52
Se76 0.1856 0.7164 0.5839  2 Ga 2.42-2.43
Se77 0.8160 0.2072 0.4148  2 Ga 2.42-2.47
Se78 0.5363 0.0966 0.5153  2 Ga 2.43-2.45
Se79 0.5614 0.6014 0.2657  2 Ga 2.42
Se80 0.5638 0.0820 0.0154  2 Ga 2.42-2.43
Na1 0.9893 0.3812 0.3784  5 Se 2.98-3.14
Na2 0.7502 0.5093 0.6896  6 Se 3.10-3.21
Na3 0.2502 0.9907 0.3104  6 Se 3.10-3.21
Na4 0.0107 0.8812 0.1216  5 Se 2.98-3.14
Na5 0.5052 0.6333 0.3718  6 Se 3.01-3.35
Na6 0.5107 0.6188 0.8784  5 Se 2.98-3.14
Na7 0.4948 0.1333 0.1282  6 Se 3.01-3.35
Na8 0.7498 0.4907 0.1896  6 Se 3.10-3.21
Na9 0.7458 0.9979 0.9403  6 Se 2.99-3.28
Na10 0.4893 0.1188 0.6216  5 Se 2.98-3.14
Na11 0.2458 0.5021 0.0597  6 Se 2.99-3.28
Na12 0.7542 0.0021 0.4403  6 Se 2.99-3.28
Na13 0.2542 0.4979 0.5597  6 Se 2.99-3.28
Na14 0.0052 0.8667 0.6282  6 Se 3.01-3.35
Na15 0.9948 0.3667 0.8718  6 Se 3.01-3.35
Na16 0.2498 0.0093 0.8104  6 Se 3.10-3.21

Summary:
Space-group type = P2_12_12_1
E (MP2020) = -0.301 Ry/atom
E_tot = -34.49 eV/f.u.
M_tot = 0.0 μB per cell
Formation energy = -0.995 eV/atom

---

# 2
Computed, not measured: a relaxed CaZnPb crystal at the GGA-PBE level of DFT.

a b c (Å): 4.7889 4.7889 7.9244
angles (deg): 90.00 90.00 120.00
Last column: nearest neighbours and their distance in Å.
Sites, in units of the cell vectors:
Zn1 0.6667 0.3333 0.7500  3 Pb 2.76
Zn2 0.3333 0.6667 0.2500  3 Pb 2.76
Ca1 0.0000 0.0000 0.0000  6 Pb 3.40, 6 Zn 3.40
Ca2 0.0000 0.0000 0.5000  6 Pb 3.40, 6 Zn 3.40
Pb1 0.3333 0.6667 0.7500  3 Zn 2.76
Pb2 0.6667 0.3333 0.2500  3 Zn 2.76

Summary:
Space-group type = P6_3/mmc
E_tot = -7.98 eV/f.u.
M_tot = 0.0 μB per cell
Formation energy = -0.334 eV/atom

---

# 3
Computed, not measured: a relaxed CaH2O2 crystal at the GGA-PBE level of DFT.

a b c (Å): 6.1656 5.4681 6.0506
angles (deg): 76.28 90.00 90.00
Last column: nearest neighbours and their distance in Å.
Sites, in units of the cell vectors:
H1 0.5064 0.8560 0.2058  1 O 0.97
H2 0.9936 0.8560 0.7058  1 O 0.97
H3 0.2780 0.7692 0.9342  1 O 0.99
H4 0.0064 0.1440 0.2942  1 O 0.97
H5 0.4936 0.1440 0.7942  1 O 0.97
H6 0.7220 0.2308 0.0658  1 O 0.99
H7 0.2220 0.7692 0.4342  1 O 0.99
H8 0.7780 0.2308 0.5658  1 O 0.99
O1 0.2604 0.5864 0.9976  1 H 0.99
O2 0.7396 0.4136 0.0024  1 H 0.99
O3 0.2396 0.5864 0.4976  1 H 0.99
O4 0.6238 0.9296 0.2760  1 H 0.97
O5 0.1238 0.0704 0.2240  1 H 0.97
O6 0.8762 0.9296 0.7760  1 H 0.97
O7 0.7604 0.4136 0.5024  1 H 0.99
O8 0.3762 0.0704 0.7240  1 H 0.97
Ca1 0.0711 0.3084 0.8117  7 O 2.37-2.64, 2 H 2.44-2.62
Ca2 0.5711 0.6916 0.6883  7 O 2.37-2.64, 2 H 2.44-2.62
Ca3 0.9289 0.6916 0.1883  7 O 2.37-2.64, 2 H 2.44-2.62
Ca4 0.4289 0.3084 0.3117  7 O 2.37-2.64, 2 H 2.44-2.62

Summary:
Space-group type = P2_1/c
E (MP2020) = -0.431 Ry/atom
E_tot = -27.96 eV/f.u.
Energy above the most stable polymorph in this dataset = 35 meV/atom
M_tot = 0.0 μB per cell
Formation energy = -2.130 eV/atom

---

# 4
Computed, not measured: a relaxed Nd2Re2Si2C crystal at the GGA-PBE level of DFT.

a b c (Å): 5.9418 5.9418 7.1826
angles (deg): 54.71 54.71 40.08
Last column: nearest neighbours and their distance in Å.
Sites, in units of the cell vectors:
Si1 0.8506 0.8506 0.6978  3 Re 2.47, 1 Si 2.75
Si2 0.1494 0.1494 0.3022  3 Re 2.47, 1 Si 2.75
C1 0.0000 0.0000 0.0000  2 Re 1.96
Nd1 0.4284 0.4284 0.3034  2 C 2.72
Nd2 0.5716 0.5716 0.6966  2 C 2.72
Re1 0.2040 0.2040 0.9127  1 C 1.96
Re2 0.7960 0.7960 0.0873  1 C 1.96

Summary:
Space-group type = C2/m
E_tot = -58.45 eV/f.u.
M_tot = 0.0 μB per cell
Formation energy = -0.563 eV/atom